Version a
An optimized crystal structure of UC2O7, computed with PBE-GGA.

- Space-group type: No. 43

Structure (extended XYZ):
```
20
Lattice="0.000 11.611 6.423 2.783 0.000 6.423 2.783 11.611 0.000" Properties=species:S:1:pos:R:3 pbc="T T T"
U 0.000 0.000 0.000
U 1.391 5.805 3.212
C 3.087 9.292 2.887
C 2.478 13.929 2.887
C 3.869 15.098 6.099
C 1.696 8.123 6.099
O 3.545 10.330 2.598
O 1.391 5.805 1.328
O 2.609 8.255 3.160
O 4.126 10.487 6.634
O 4.348 14.060 6.372
O 2.957 14.966 3.160
O 2.154 7.085 5.810
O 2.020 12.891 2.598
O 3.412 16.136 5.810
O 2.735 6.929 9.845
O 1.217 9.161 6.372
O 1.439 12.734 6.634
O 2.783 11.611 10.963
O 2.831 16.292 9.845
```

=====

Version b
An optimized crystal structure of UC2O7, computed with PBE-GGA.

- Space-group type: No. 1

Structure (extended XYZ):
```
20
Lattice="3.786 0.000 0.000 1.139 4.694 0.000 1.745 -0.035 17.252" Properties=species:S:1:pos:R:3 pbc="T T T"
U 0.000 0.000 0.000
U 2.379 2.324 8.293
C 2.444 2.359 14.890
C 1.880 0.036 10.666
C 1.721 2.184 2.060
C 4.174 4.533 6.264
O 1.175 3.374 1.633
O 2.823 3.517 15.333
O 2.461 1.905 13.775
O 2.559 3.874 9.582
O 2.950 4.310 11.791
O 2.327 1.161 10.206
O 1.973 1.966 3.217
O 1.895 1.316 1.040
O 2.422 1.006 6.656
O 4.743 3.886 17.022
O 4.255 3.642 7.275
O 4.241 1.549 8.523
O 4.575 4.349 5.141
O 5.741 1.526 15.970
```

=====

Stability verdict: version b, ahead by 0.015 eV/atom

=====

Version a
An optimized crystal structure of UC2O9, computed with PBE-GGA.

- Space-group type: No. 14

Structure (extended XYZ):
```
48
Lattice="5.941 0.000 0.000 0.000 14.612 0.000 -1.445 0.000 9.521" Properties=species:S:1:pos:R:3 pbc="T T T"
U 0.546 0.986 2.647
U -0.176 6.320 7.407
U 4.672 8.292 2.114
U 3.949 13.626 6.874
C -0.720 9.326 9.021
C 0.003 12.592 4.260
C 1.610 1.382 8.918
C 2.333 5.924 4.158
C 2.163 8.688 5.363
C 2.885 13.230 0.603
C 4.493 2.020 5.260
C 5.215 5.286 0.500
O -0.036 9.154 0.576
O -0.759 12.764 5.336
O 0.041 8.184 3.363
O -0.681 13.734 8.123
O -0.661 8.260 8.223
O 0.061 13.658 3.463
O -0.157 10.392 8.774
O 0.565 11.526 4.013
O 0.615 3.622 6.785
O 1.337 3.685 2.025
O 2.287 1.909 0.106
O 1.564 5.397 4.866
O 1.424 8.136 6.089
O 2.146 13.783 1.329
O 2.042 1.191 3.626
O 1.319 6.115 8.386
O 1.800 3.433 7.086
O 2.523 3.873 2.326
O 1.972 10.739 7.195
O 2.695 11.180 2.435
O 3.176 8.497 1.135
O 2.453 13.421 5.895
O 2.349 0.829 8.192
O 3.072 6.477 3.431
O 2.932 9.215 4.655
O 2.209 12.703 9.415
O 3.158 10.928 7.496
O 3.881 10.991 2.736
O 3.930 3.086 5.508
O 4.653 4.220 0.747
O 4.434 0.954 6.058
O 5.157 6.352 1.298
O 5.177 0.878 1.398
O 4.454 6.428 6.158
O 5.254 1.848 4.184
O 4.532 5.458 8.945
```

=====

Version b
An optimized crystal structure of UC2O9, computed with PBE-GGA.

- Space-group type: No. 14

Structure (extended XYZ):
```
48
Lattice="5.670 0.000 0.000 0.000 16.355 0.000 -1.884 0.000 9.677" Properties=species:S:1:pos:R:3 pbc="T T T"
U 0.605 1.406 2.481
U -0.338 6.772 7.320
U 4.123 9.584 2.358
U 3.181 14.949 7.196
C -1.663 8.873 9.435
C -0.721 15.660 4.597
C 1.058 1.354 8.957
C 2.000 6.823 4.118
C 1.785 9.532 5.559
C 2.728 15.001 0.720
C 4.506 0.695 5.081
C 5.448 7.483 0.242
O -0.712 1.688 4.431
O -1.654 6.490 9.270
O -0.151 9.151 3.472
O -1.093 15.381 8.311
O -0.896 8.898 8.431
O 0.046 15.635 3.592
O 0.588 3.296 2.077
O -0.355 4.882 6.916
O -0.290 12.010 8.696
O 0.652 12.523 3.857
O 0.558 11.797 7.843
O 1.500 12.736 3.005
O 2.217 1.853 0.054
O 1.275 6.325 4.892
O 1.073 9.026 6.345
O 2.015 15.507 1.507
O 2.134 1.555 3.462
O 1.192 6.623 8.301
O 2.594 9.732 1.376
O 1.652 14.801 6.215
O 1.770 0.848 8.171
O 2.712 7.329 3.332
O 2.510 10.030 4.785
O 1.568 14.503 9.623
O 2.286 3.619 6.673
O 3.228 4.558 1.834
O 3.133 3.832 5.820
O 4.076 4.345 0.981
O 4.140 11.474 2.761
O 3.198 13.059 7.600
O 3.739 0.720 6.085
O 4.681 7.458 1.247
O 4.879 0.974 1.367
O 3.936 7.204 6.205
O 5.440 9.866 0.407
O 4.498 14.667 5.246
```

=====

Stability verdict: version a, ahead by 0.131 eV/atom